Computed, not measured: an optimized crystal structure of NaNbN2 at the PBE level of DFT.

Computed properties:
Its energy relative to the elements is -903 meV/atom. The calculation puts the total moment at 0.00 μB/f.u. Its space group is Pbca (61). The volume is 15.98 Å³/atom.

Cell lengths 5.6519, 11.3370, 15.9597 Å; angles 90.00, 90.00, 90.00 degrees
Last column: nearest neighbours and their distance in Å.
Element x y z (fractional)
Na  0.2144  0.0025  0.0589  4 N 2.38-2.54
Na  0.2144  0.4975  0.5589  4 N 2.38-2.54
Na  0.2504  0.2199  0.1894  4 N 2.51-2.80
Na  0.2504  0.2801  0.6894  4 N 2.51-2.80
Na  0.2496  0.7199  0.1894  4 N 2.51-2.80
Na  0.2496  0.7801  0.6894  4 N 2.51-2.80
Na  0.2856  0.5025  0.0589  4 N 2.38-2.54
Na  0.2856  0.9975  0.5589  4 N 2.38-2.54
Na  0.7144  0.0025  0.4411  4 N 2.38-2.54
Na  0.7144  0.4975  0.9411  4 N 2.38-2.54
Na  0.7504  0.2199  0.3106  4 N 2.51-2.80
Na  0.7504  0.2801  0.8106  4 N 2.51-2.80
Na  0.7496  0.7199  0.3106  4 N 2.51-2.80
Na  0.7496  0.7801  0.8106  4 N 2.51-2.80
Na  0.7856  0.5025  0.4411  4 N 2.38-2.54
Na  0.7856  0.9975  0.9411  4 N 2.38-2.54
Nb  0.2082  0.5201  0.8100  4 N 1.95-1.97
Nb  0.2082  0.9799  0.3100  4 N 1.95-1.97
Nb  0.2420  0.2276  0.4341  4 N 1.94-1.98
Nb  0.2420  0.2724  0.9341  4 N 1.94-1.98
Nb  0.2580  0.7276  0.4341  4 N 1.94-1.98
Nb  0.2580  0.7724  0.9341  4 N 1.94-1.98
Nb  0.2918  0.0201  0.8100  4 N 1.95-1.97
Nb  0.2918  0.4799  0.3100  4 N 1.95-1.97
Nb  0.7082  0.5201  0.6900  4 N 1.95-1.97
Nb  0.7082  0.9799  0.1900  4 N 1.95-1.97
Nb  0.7420  0.2276  0.0659  4 N 1.94-1.98
Nb  0.7420  0.2724  0.5659  4 N 1.94-1.98
Nb  0.7580  0.7276  0.0659  4 N 1.94-1.98
Nb  0.7580  0.7724  0.5659  4 N 1.94-1.98
Nb  0.7918  0.0201  0.6900  4 N 1.95-1.97
Nb  0.7918  0.4799  0.1900  4 N 1.95-1.97
N  0.0082  0.1771  0.9940  2 Nb 1.96-1.98
N  0.0082  0.3229  0.4940  2 Nb 1.96-1.98
N  0.0453  0.0167  0.2055  2 Nb 1.95-1.97
N  0.0453  0.4833  0.7055  2 Nb 1.95-1.97
N  0.0838  0.0840  0.3980  2 Nb 1.94-1.96
N  0.0838  0.4160  0.8980  2 Nb 1.94-1.96
N  0.1461  0.6867  0.8348  2 Nb 1.96
N  0.1461  0.8133  0.3348  2 Nb 1.96
N  0.3539  0.1867  0.8348  2 Nb 1.96
N  0.3539  0.3133  0.3348  2 Nb 1.96
N  0.4162  0.5840  0.3980  2 Nb 1.94-1.96
N  0.4162  0.9160  0.8980  2 Nb 1.94-1.96
N  0.4547  0.5167  0.2055  2 Nb 1.95-1.97
N  0.4547  0.9833  0.7055  2 Nb 1.95-1.97
N  0.4918  0.6771  0.9940  2 Nb 1.96-1.98
N  0.4918  0.8229  0.4940  2 Nb 1.96-1.98
N  0.5082  0.1771  0.5060  2 Nb 1.96-1.98
N  0.5082  0.3229  0.0060  2 Nb 1.96-1.98
N  0.5453  0.0167  0.2945  2 Nb 1.95-1.97
N  0.5453  0.4833  0.7945  2 Nb 1.95-1.97
N  0.5838  0.0840  0.1020  2 Nb 1.94-1.96
N  0.5838  0.4160  0.6020  2 Nb 1.94-1.96
N  0.6461  0.6867  0.6652  2 Nb 1.96
N  0.6461  0.8133  0.1652  2 Nb 1.96
N  0.8539  0.1867  0.6652  2 Nb 1.96
N  0.8539  0.3133  0.1652  2 Nb 1.96
N  0.9162  0.5840  0.1020  2 Nb 1.94-1.96
N  0.9162  0.9160  0.6020  2 Nb 1.94-1.96
N  0.9547  0.5167  0.2945  2 Nb 1.95-1.97
N  0.9547  0.9833  0.7945  2 Nb 1.95-1.97
N  0.9918  0.6771  0.5060  2 Nb 1.96-1.98
N  0.9918  0.8229  0.0060  2 Nb 1.96-1.98



Computed, not measured: an optimized crystal structure of Mo3WSe2S6 at the PBE level of DFT.

Computed properties:
Its energy relative to the elements is -1047 meV/atom. As for the energy above the lowest structure with this stoichiometry: 0.001 eV/atom. The calculation puts the total moment at 0.00 μB/f.u. Its space group is P3m1 (156). The volume is 27.21 Å³/atom.

Cell lengths 3.2204, 3.2204, 36.3489 Å; angles 90.00, 90.00, 120.00 degrees
Last column: nearest neighbours and their distance in Å.
Element x y z (fractional)
Mo  0.0000  0.0000  0.0000  6 S 2.42
Mo  0.0000  0.0000  0.3757  6 S 2.42
Mo  0.3333  0.6667  0.5636  6 Se 2.53
W  0.3333  0.6667  0.1879  6 S 2.43
Se  0.0000  0.0000  0.5166  3 Mo 2.53
Se  0.0000  0.0000  0.6107  3 Mo 2.53
S  0.0000  0.0000  0.1449  3 W 2.43
S  0.0000  0.0000  0.2308  3 W 2.43
S  0.3333  0.6667  0.0428  3 Mo 2.42
S  0.3333  0.6667  0.3330  3 Mo 2.42
S  0.3333  0.6667  0.4185  3 Mo 2.42
S  0.3333  0.6667  0.9572  3 Mo 2.42



Computed, not measured: an optimized crystal structure of Ce2CoGe4Ru3 at the PBE level of DFT.

Computed properties:
Its energy relative to the elements is -622 meV/atom. The calculation puts the total moment at 1.66 μB/f.u. Its space group is P-4m2 (115). The volume is 17.82 Å³/atom.

Cell lengths 4.2069, 4.2069, 10.0684 Å; angles 90.00, 90.00, 90.00 degrees
Last column: nearest neighbours and their distance in Å.
Element x y z (fractional)
Ce  0.0000  0.5000  0.2497  8 Ge 3.24-3.26, 6 Ru 3.28, 2 Co 3.28
Ce  0.5000  0.0000  0.7503  8 Ge 3.24-3.26, 6 Ru 3.28, 2 Co 3.28
Co  0.0000  0.0000  0.5000  4 Ge 2.42
Ge  0.0000  0.5000  0.6191  2 Co 2.42, 2 Ru 2.42, 1 Ge 2.60
Ge  0.0000  0.5000  0.8778  4 Ru 2.44, 1 Ge 2.60
Ge  0.5000  0.0000  0.1222  4 Ru 2.44, 1 Ge 2.60
Ge  0.5000  0.0000  0.3809  2 Co 2.42, 2 Ru 2.42, 1 Ge 2.60
Ru  0.0000  0.0000  0.0000  4 Ge 2.44
Ru  0.5000  0.5000  0.0000  4 Ge 2.44
Ru  0.5000  0.5000  0.5000  4 Ge 2.42